U3Se4 | r2SCAN | optimized geometry

Properties
The calculation puts the spin magnetization at 9.97 μB/f.u. As for the space group: I-42d. Its volume is 24.80 Å³ per atom.

a b c (Å): 7.669 7.669 7.669
angles (deg): 109.43 109.46 109.52
Positions (direct):
Se 0.151 0.500 0.000
Se 0.000 0.151 0.500
U 0.750 0.375 0.625
Se 0.849 0.849 0.849
Se 0.500 0.000 0.651
U 0.375 0.625 0.750
U 0.875 0.250 0.125
Se 0.000 0.651 0.500
Se 0.651 0.500 0.000
U 0.625 0.750 0.375
Se 0.500 0.000 0.152
Se 0.349 0.348 0.349
U 0.125 0.875 0.250
U 0.250 0.125 0.875



U8VSe17 | r2SCAN | optimized geometry

Properties
The calculation puts the spin magnetization at 19.00 μB/f.u. As for the space group: C2/m. Its volume is 25.54 Å³ per atom.

a b c (Å): 8.292 8.292 10.909
angles (deg): 80.69 80.69 64.41
Positions (direct):
U 0.797 0.797 0.460
Se 0.823 0.433 0.535
Se 0.940 0.940 0.227
Se 0.790 0.790 0.724
Se 0.177 0.567 0.465
Se 0.000 0.000 0.500
Se 0.567 0.177 0.465
U 0.299 0.817 0.297
Se 0.056 0.676 0.974
Se 0.521 0.521 0.831
U 0.701 0.183 0.703
Se 0.697 0.697 0.246
Se 0.060 0.060 0.773
U 0.817 0.299 0.297
Se 0.324 0.944 0.026
U 0.322 0.322 0.016
Se 0.303 0.303 0.754
U 0.183 0.701 0.703
U 0.678 0.678 0.984
Se 0.433 0.823 0.535
Se 0.210 0.210 0.276
Se 0.676 0.056 0.974
V 0.000 0.000 0.000
Se 0.479 0.479 0.169
U 0.203 0.203 0.540
Se 0.944 0.324 0.026



Number 1: energy relative to the elements -1.5792 eV per atom. Number 2: energy relative to the elements -1.5434 eV per atom.